A plane-wave DFT calculation with PBE-GGA was carried out for a relaxed structure of Bi4Te2Br2O9.

Cell lengths 5.570, 5.570, 9.817 Å; angles 90.00, 90.00, 90.00 degrees
Sites, in units of the cell vectors:
Bi 0.000 0.000 0.000
Bi 0.000 0.500 0.737
Bi 0.500 0.000 0.737
Bi 0.500 0.500 0.988
Te 0.000 0.000 0.442
Te 0.500 0.500 0.491
Br 0.000 0.500 0.175
Br 0.500 0.000 0.175
O 0.231 0.231 0.533
O 0.231 0.769 0.533
O 0.244 0.244 0.872
O 0.244 0.756 0.872
O 0.500 0.500 0.682
O 0.756 0.244 0.872
O 0.756 0.756 0.872
O 0.769 0.231 0.533
O 0.769 0.769 0.533

Calculated values
Space-group type: No. 99
Energy of formation (eV/atom): -1.485
Excess energy over the best structure of this formula in the dataset (meV/atom): 0
Volume (Å³/atom): 17.919

***

A plane-wave DFT calculation with PBE-GGA was carried out for a relaxed structure of LiNd4Rh4O12.

Cell lengths 5.726, 7.747, 5.961 Å; angles 90.00, 93.50, 90.00 degrees
Sites, in units of the cell vectors:
Li 0.000 0.000 0.000
Nd 0.331 0.500 0.988
Nd 0.342 0.000 0.805
Nd 0.790 0.500 0.487
Nd 0.802 0.000 0.378
Rh 0.299 0.254 0.406
Rh 0.299 0.746 0.406
Rh 0.803 0.260 0.917
Rh 0.803 0.740 0.917
O 0.127 0.200 0.094
O 0.127 0.800 0.094
O 0.174 0.500 0.361
O 0.419 0.000 0.438
O 0.486 0.303 0.721
O 0.486 0.697 0.721
O 0.613 0.305 0.220
O 0.613 0.695 0.220
O 0.698 0.000 0.981
O 0.927 0.500 0.871
O 0.998 0.198 0.617
O 0.998 0.802 0.617

Calculated values
Space-group type: No. 6
Energy of formation (eV/atom): -2.294
Excess energy over the best structure of this formula in the dataset (meV/atom): 91
Volume (Å³/atom): 12.566

***

A plane-wave DFT calculation with PBE-GGA was carried out for a relaxed structure of NdMgTl.

Cell lengths 7.775, 7.775, 4.749 Å; angles 90.00, 90.00, 120.00 degrees
Sites, in units of the cell vectors:
Nd 0.000 0.575 0.000
Nd 0.425 0.425 0.000
Nd 0.575 0.000 0.000
Mg 0.000 0.242 0.500
Mg 0.242 0.000 0.500
Mg 0.758 0.758 0.500
Tl 0.000 0.000 0.000
Tl 0.333 0.667 0.500
Tl 0.667 0.333 0.500

Calculated values
Space-group type: No. 189
Energy of formation (eV/atom): -0.355
Volume (Å³/atom): 27.623

***

A plane-wave DFT calculation with PBE-GGA was carried out for a relaxed structure of Na7CaAl3P6O24.

Cell lengths 8.820, 8.840, 21.643 Å; angles 90.07, 90.01, 119.92 degrees
Sites, in units of the cell vectors:
Na 0.000 0.000 0.000
Na 0.001 0.348 0.745
Na 0.032 0.052 0.328
Na 0.047 0.706 0.831
Na 0.299 0.322 0.831
Na 0.314 0.708 0.327
Na 0.333 0.677 0.665
Na 0.334 0.386 0.165
Na 0.336 0.033 0.411
Na 0.349 0.048 0.918
Na 0.367 0.732 0.001
Na 0.378 0.374 0.497
Na 0.635 0.992 0.497
Na 0.660 0.336 0.328
Na 0.661 0.070 0.831
Na 0.669 0.698 0.082
Na 0.681 0.713 0.585
Na 0.690 0.387 0.665
Na 0.982 0.676 0.164
Na 0.985 0.348 0.243
Na 0.995 0.734 0.497
Ca 0.333 0.034 0.763
Ca 0.342 0.036 0.251
Ca 0.669 0.700 0.435
Al 0.002 0.363 0.600
Al 0.002 0.365 0.395
Al 0.333 0.032 0.566
Al 0.344 0.040 0.065
Al 0.668 0.694 0.937
Al 0.670 0.706 0.229
Al 0.675 0.705 0.729
Al 0.998 0.363 0.897
Al 0.998 0.364 0.094
P 0.002 0.657 0.997
P 0.020 0.092 0.501
P 0.026 0.036 0.161
P 0.029 0.727 0.664
P 0.277 0.658 0.502
P 0.294 0.363 0.997
P 0.333 0.338 0.664
P 0.333 0.723 0.161
P 0.363 0.404 0.332
P 0.381 0.687 0.836
P 0.644 0.034 0.664
P 0.647 0.339 0.163
P 0.679 0.003 0.333
P 0.682 0.425 0.834
P 0.708 0.079 0.997
P 0.710 0.349 0.502
P 0.943 0.986 0.837
P 0.964 0.689 0.332
O 0.006 0.195 0.146
O 0.006 0.195 0.554
O 0.034 0.570 0.939
O 0.039 0.193 0.439
O 0.127 0.008 0.835
O 0.128 0.085 0.222
O 0.130 0.001 0.109
O 0.131 0.853 0.609
O 0.136 0.784 0.723
O 0.149 0.845 0.324
O 0.169 0.844 0.003
O 0.173 0.570 0.441
O 0.174 0.328 0.939
O 0.175 0.537 0.148
O 0.179 0.550 0.558
O 0.180 0.373 0.653
O 0.185 0.402 0.335
O 0.188 0.073 0.506
O 0.195 0.518 0.839
O 0.204 0.395 0.052
O 0.284 0.775 0.221
O 0.296 0.845 0.505
O 0.298 0.245 0.726
O 0.309 0.196 0.006
O 0.334 0.219 0.325
O 0.358 0.852 0.107
O 0.359 0.849 0.835
O 0.365 0.234 0.612
O 0.461 0.471 0.393
O 0.461 0.680 0.504
O 0.467 0.526 0.276
O 0.469 0.668 0.776
O 0.478 0.530 0.992
O 0.492 0.707 0.893
O 0.500 0.228 0.115
O 0.501 0.708 0.168
O 0.506 0.520 0.668
O 0.509 0.001 0.611
O 0.520 0.241 0.834
O 0.521 0.054 0.006
O 0.523 0.031 0.325
O 0.524 0.182 0.506
O 0.585 0.081 0.724
O 0.601 0.256 0.226
O 0.647 0.860 0.671
O 0.647 0.910 0.395
O 0.656 0.522 0.166
O 0.665 0.522 0.890
O 0.684 0.890 0.994
O 0.687 0.511 0.503
O 0.698 0.895 0.280
O 0.701 0.527 0.773
O 0.788 0.185 0.936
O 0.797 0.331 0.441
O 0.821 0.364 0.558
O 0.828 0.191 0.652
O 0.830 0.368 0.147
O 0.832 0.894 0.779
O 0.837 0.174 0.049
O 0.841 0.685 0.992
O 0.843 0.672 0.276
O 0.847 0.713 0.670
O 0.849 0.862 0.168
O 0.850 0.406 0.838
O 0.854 0.182 0.336
O 0.854 0.881 0.896
O 0.859 0.908 0.503
O 0.898 0.721 0.393
O 0.963 0.173 0.839
O 0.966 0.514 0.335
O 0.983 0.547 0.054
O 0.997 0.538 0.653

Calculated values
Space-group type: No. 1
Energy of formation (eV/atom): -2.849
Volume (Å³/atom): 11.890

***

A plane-wave DFT calculation with PBE-GGA was carried out for a relaxed structure of CaCo2Ge2.

Cell lengths 3.976, 3.976, 10.385 Å; angles 90.00, 90.00, 90.00 degrees
Sites, in units of the cell vectors:
Ca 0.000 0.000 0.000
Ca 0.500 0.500 0.500
Co 0.000 0.500 0.250
Co 0.000 0.500 0.750
Co 0.500 0.000 0.250
Co 0.500 0.000 0.750
Ge 0.000 0.000 0.369
Ge 0.000 0.000 0.631
Ge 0.500 0.500 0.131
Ge 0.500 0.500 0.869

Calculated values
Space-group type: No. 139
Energy of formation (eV/atom): -0.474
Volume (Å³/atom): 16.414

***

A plane-wave DFT calculation with PBE-GGA was carried out for a relaxed structure of NaLiCO3.

Cell lengths 8.418, 8.418, 3.404 Å; angles 90.00, 90.00, 120.00 degrees
Sites, in units of the cell vectors:
Na 0.000 0.656 0.000
Na 0.344 0.344 0.000
Na 0.656 0.000 0.000
Li 0.000 0.290 0.500
Li 0.290 0.000 0.500
Li 0.710 0.710 0.500
C 0.000 0.000 0.000
C 0.333 0.667 0.500
C 0.667 0.333 0.500
O 0.000 0.154 0.000
O 0.154 0.000 0.000
O 0.237 0.748 0.500
O 0.252 0.488 0.500
O 0.488 0.252 0.500
O 0.512 0.763 0.500
O 0.748 0.237 0.500
O 0.763 0.512 0.500
O 0.846 0.846 0.000

Calculated values
Space-group type: No. 189
Energy of formation (eV/atom): -2.160
Excess energy over the best structure of this formula in the dataset (meV/atom): 9
Volume (Å³/atom): 11.606

***

A plane-wave DFT calculation with PBE-GGA was carried out for a relaxed structure of LiBiRh2.

Cell lengths 6.361, 6.361, 6.361 Å; angles 90.00, 90.00, 90.00 degrees
Sites, in units of the cell vectors:
Li 0.000 0.000 0.000
Li 0.000 0.500 0.500
Li 0.500 0.000 0.500
Li 0.500 0.500 0.000
Bi 0.000 0.000 0.500
Bi 0.000 0.500 0.000
Bi 0.500 0.000 0.000
Bi 0.500 0.500 0.500
Rh 0.250 0.250 0.250
Rh 0.250 0.250 0.750
Rh 0.250 0.750 0.250
Rh 0.250 0.750 0.750
Rh 0.750 0.250 0.250
Rh 0.750 0.250 0.750
Rh 0.750 0.750 0.250
Rh 0.750 0.750 0.750

Calculated values
Space-group type: No. 225
Energy of formation (eV/atom): -0.282
Volume (Å³/atom): 16.086

***

A plane-wave DFT calculation with PBE-GGA was carried out for a relaxed structure of VFeCoAs.

Cell lengths 5.778, 5.778, 5.778 Å; angles 90.00, 90.00, 90.00 degrees
Sites, in units of the cell vectors:
V 0.000 0.000 0.000
V 0.000 0.500 0.500
V 0.500 0.000 0.500
V 0.500 0.500 0.000
Fe 0.250 0.250 0.250
Fe 0.250 0.750 0.750
Fe 0.750 0.250 0.750
Fe 0.750 0.750 0.250
Co 0.250 0.250 0.750
Co 0.250 0.750 0.250
Co 0.750 0.250 0.250
Co 0.750 0.750 0.750
As 0.000 0.000 0.500
As 0.000 0.500 0.000
As 0.500 0.000 0.000
As 0.500 0.500 0.500

Calculated values
Space-group type: No. 216
Energy of formation (eV/atom): -0.100
Volume (Å³/atom): 12.053

***

A plane-wave DFT calculation with PBE-GGA was carried out for a relaxed structure of CoAsSe.

Cell lengths 5.774, 5.861, 11.531 Å; angles 90.00, 90.00, 90.00 degrees
Sites, in units of the cell vectors:
Co 0.003 0.175 0.127
Co 0.003 0.325 0.627
Co 0.497 0.675 0.127
Co 0.497 0.825 0.627
Co 0.503 0.175 0.373
Co 0.503 0.325 0.873
Co 0.997 0.675 0.373
Co 0.997 0.825 0.873
As 0.134 0.685 0.565
As 0.134 0.815 0.065
As 0.366 0.185 0.565
As 0.366 0.315 0.065
As 0.634 0.685 0.935
As 0.634 0.815 0.435
As 0.866 0.185 0.935
As 0.866 0.315 0.435
Se 0.122 0.057 0.320
Se 0.122 0.443 0.820
Se 0.378 0.557 0.320
Se 0.378 0.943 0.820
Se 0.622 0.057 0.180
Se 0.622 0.443 0.680
Se 0.878 0.557 0.180
Se 0.878 0.943 0.680

Calculated values
Space-group type: No. 61
Energy of formation (eV/atom): -0.533
Volume (Å³/atom): 16.259

***

A plane-wave DFT calculation with PBE-GGA was carried out for a relaxed structure of TmNp3.

Cell lengths 4.617, 4.617, 4.617 Å; angles 90.00, 90.00, 90.00 degrees
Sites, in units of the cell vectors:
Tm 0.000 0.000 0.000
Np 0.000 0.500 0.500
Np 0.500 0.000 0.500
Np 0.500 0.500 0.000

Calculated values
Space-group type: No. 221
Energy of formation (eV/atom): 0.671
Volume (Å³/atom): 24.603

***

A plane-wave DFT calculation with PBE-GGA was carried out for a relaxed structure of Sb3W.

Cell lengths 4.897, 4.897, 7.431 Å; angles 90.00, 90.00, 90.00 degrees
Sites, in units of the cell vectors:
Sb 0.000 0.000 0.000
Sb 0.000 0.500 0.250
Sb 0.000 0.500 0.750
Sb 0.500 0.000 0.250
Sb 0.500 0.000 0.750
Sb 0.500 0.500 0.500
W 0.000 0.000 0.500
W 0.500 0.500 0.000

Calculated values
Space-group type: No. 139
Energy of formation (eV/atom): 0.785
Volume (Å³/atom): 22.279

***

A plane-wave DFT calculation with PBE-GGA was carried out for a relaxed structure of Ho5SbAu2.

Cell lengths 8.630, 8.630, 8.630 Å; angles 124.13, 124.13, 82.98 degrees
Sites, in units of the cell vectors:
Ho 0.000 0.000 0.000
Ho 0.015 0.515 0.814
Ho 0.201 0.015 0.500
Ho 0.299 0.799 0.814
Ho 0.485 0.299 0.500
Ho 0.500 0.500 0.000
Ho 0.515 0.701 0.500
Ho 0.701 0.201 0.186
Ho 0.799 0.985 0.500
Ho 0.985 0.485 0.186
Sb 0.250 0.250 0.000
Sb 0.750 0.750 0.000
Au 0.137 0.363 0.500
Au 0.363 0.863 0.227
Au 0.637 0.137 0.773
Au 0.863 0.637 0.500

Calculated values
Space-group type: No. 140
Energy of formation (eV/atom): -0.763
Volume (Å³/atom): 26.416

***

A plane-wave DFT calculation with PBE-GGA was carried out for a relaxed structure of NdB2C2.

Cell lengths 3.826, 3.826, 7.690 Å; angles 90.00, 90.00, 90.00 degrees
Sites, in units of the cell vectors:
Nd 0.000 0.000 0.250
Nd 0.000 0.000 0.750
B 0.216 0.500 0.000
B 0.500 0.216 0.500
B 0.500 0.784 0.500
B 0.784 0.500 0.000
C 0.187 0.500 0.500
C 0.500 0.187 0.000
C 0.500 0.813 0.000
C 0.813 0.500 0.500

Calculated values
Space-group type: No. 131
Energy of formation (eV/atom): -0.275
Volume (Å³/atom): 11.256

***

A plane-wave DFT calculation with PBE-GGA was carried out for a relaxed structure of CeMgCu.

Cell lengths 7.679, 7.679, 4.167 Å; angles 90.00, 90.00, 120.00 degrees
Sites, in units of the cell vectors:
Ce 0.000 0.579 0.000
Ce 0.421 0.421 0.000
Ce 0.579 0.000 0.000
Mg 0.000 0.238 0.500
Mg 0.238 0.000 0.500
Mg 0.762 0.762 0.500
Cu 0.000 0.000 0.000
Cu 0.333 0.667 0.500
Cu 0.667 0.333 0.500

Calculated values
Space-group type: No. 189
Energy of formation (eV/atom): -0.074
Volume (Å³/atom): 23.639

***

A plane-wave DFT calculation with PBE-GGA was carried out for a relaxed structure of HgBiO3.

Cell lengths 6.123, 6.123, 6.123 Å; angles 57.98, 57.98, 57.98 degrees
Sites, in units of the cell vectors:
Hg 0.250 0.250 0.250
Hg 0.750 0.750 0.750
Bi 0.000 0.000 0.000
Bi 0.500 0.500 0.500
O 0.127 0.750 0.373
O 0.250 0.627 0.873
O 0.373 0.127 0.750
O 0.627 0.873 0.250
O 0.750 0.373 0.127
O 0.873 0.250 0.627

Calculated values
Space-group type: No. 167
Energy of formation (eV/atom): -1.094
Volume (Å³/atom): 15.479

***

A plane-wave DFT calculation with PBE-GGA was carried out for a relaxed structure of LaMg3.

Cell lengths 4.826, 4.826, 4.826 Å; angles 90.00, 90.00, 90.00 degrees
Sites, in units of the cell vectors:
La 0.000 0.000 0.000
Mg 0.000 0.500 0.500
Mg 0.500 0.000 0.500
Mg 0.500 0.500 0.000

Calculated values
Space-group type: No. 221
Energy of formation (eV/atom): -0.045
Volume (Å³/atom): 28.105

***

A plane-wave DFT calculation with PBE-GGA was carried out for a relaxed structure of BaO.

Cell lengths 5.615, 5.615, 5.615 Å; angles 90.00, 90.00, 90.00 degrees
Sites, in units of the cell vectors:
Ba 0.000 0.000 0.000
Ba 0.000 0.500 0.500
Ba 0.500 0.000 0.500
Ba 0.500 0.500 0.000
O 0.000 0.000 0.500
O 0.000 0.500 0.000
O 0.500 0.000 0.000
O 0.500 0.500 0.500

Calculated values
Space-group type: No. 225
Energy of formation (eV/atom): -2.824
Volume (Å³/atom): 22.128